1.
Material: LiNiSbO4
Method: DFT, PBE with a Hubbard U
State: optimized geometry

Lattice parameters (Å, degrees): 10.6938 6.0248 5.1962 90.00 90.00 90.00
With the nearest neighbours (Å) after each atom.
Atoms (fractional coordinates):
Li 0.0000 0.0000 0.0000  2 O 2.03
Li 0.0000 0.5000 0.0000  2 O 2.03
Li 0.5000 0.0000 0.5000  2 O 2.03
Li 0.5000 0.5000 0.5000  2 O 2.03
Ni 0.2309 0.2500 0.4945  6 O 2.05-2.24
Ni 0.2691 0.7500 0.9945  6 O 2.05-2.24
Ni 0.7309 0.2500 0.0055  6 O 2.05-2.24
Ni 0.7691 0.7500 0.5055  6 O 2.05-2.24
Sb 0.0986 0.7500 0.4561  4 O 1.90-1.92
Sb 0.4014 0.2500 0.9561  4 O 1.90-1.92
Sb 0.5986 0.7500 0.0439  4 O 1.90-1.92
Sb 0.9014 0.2500 0.5439  4 O 1.90-1.92
O 0.0648 0.2500 0.6928  1 Sb 1.91, 1 Ni 2.05
O 0.0937 0.7500 0.8207  1 Sb 1.90, 2 Li 2.03, 1 Ni 2.08
O 0.1748 0.5133 0.2634  1 Sb 1.92, 1 Ni 2.08
O 0.1748 0.9867 0.2634  1 Sb 1.92, 1 Ni 2.08
O 0.3252 0.0133 0.7634  1 Sb 1.92, 1 Ni 2.08
O 0.3252 0.4867 0.7634  1 Sb 1.92, 1 Ni 2.08
O 0.4063 0.2500 0.3207  1 Sb 1.90, 2 Li 2.03, 1 Ni 2.08
O 0.4352 0.7500 0.1928  1 Sb 1.91, 1 Ni 2.05
O 0.5648 0.2500 0.8072  1 Sb 1.91, 1 Ni 2.05
O 0.5937 0.7500 0.6793  1 Sb 1.90, 2 Li 2.03, 1 Ni 2.08
O 0.6748 0.5133 0.2366  1 Sb 1.92, 1 Ni 2.08
O 0.6748 0.9867 0.2366  1 Sb 1.92, 1 Ni 2.08
O 0.8252 0.0133 0.7366  1 Sb 1.92, 1 Ni 2.08
O 0.8252 0.4867 0.7366  1 Sb 1.92, 1 Ni 2.08
O 0.9063 0.2500 0.1793  1 Sb 1.90, 2 Li 2.03, 1 Ni 2.08
O 0.9352 0.7500 0.3072  1 Sb 1.91, 1 Ni 2.05

Properties
As for the energy: -5.458 eV per atom. Its theoretical density is 4.99 g cm⁻³. The calculated formation energy is -1698 meV/atom.

2.
Material: Li3Ni4SbO8
Method: DFT, PBE with a Hubbard U
State: optimized geometry

Lattice parameters (Å, degrees): 5.9617 5.9617 6.0559 120.12 120.12 61.02
With the nearest neighbours (Å) after each atom.
Atoms (fractional coordinates):
Li 0.0000 0.0000 0.0000  6 O 2.18-2.26
Li 0.0000 0.5000 0.5000  6 O 2.08-2.21
Li 0.5000 0.0000 0.5000  6 O 2.08-2.21
Ni 0.0000 0.0000 0.5000  6 O 2.09-2.14
Ni 0.0000 0.5000 0.0000  6 O 2.07-2.12
Ni 0.5000 0.0000 0.0000  6 O 2.07-2.12
Ni 0.5000 0.5000 0.0000  6 O 2.09-2.14
Sb 0.5000 0.5000 0.5000  6 O 2.00-2.03
O 0.2501 0.2501 0.7663  4 Ni 2.07-2.09, 2 Li 2.21
O 0.2609 0.2609 0.2565  1 Sb 2.00, 2 Ni 2.12, 3 Li 2.16-2.18
O 0.2624 0.7358 0.7356  1 Sb 2.03, 2 Li 2.08-2.26, 3 Ni 2.10-2.14
O 0.2642 0.7376 0.2644  1 Sb 2.03, 2 Li 2.08-2.26, 3 Ni 2.10-2.14
O 0.7358 0.2624 0.7356  1 Sb 2.03, 2 Li 2.08-2.26, 3 Ni 2.10-2.14
O 0.7376 0.2642 0.2644  1 Sb 2.03, 2 Li 2.08-2.26, 3 Ni 2.10-2.14
O 0.7391 0.7391 0.7435  1 Sb 2.00, 2 Ni 2.12, 3 Li 2.16-2.18
O 0.7499 0.7499 0.2337  4 Ni 2.07-2.09, 2 Li 2.21

Properties
As for the energy: -5.252 eV per atom. Its theoretical density is 5.48 g cm⁻³. The calculated formation energy is -1695 meV/atom.

3.
Material: Li3NiSb4O12
Method: DFT, PBE with a Hubbard U
State: optimized geometry

Lattice parameters (Å, degrees): 7.6437 7.6574 7.6525 86.51 93.50 93.60
With the nearest neighbours (Å) after each atom.
Atoms (fractional coordinates):
Sb 0.5073 0.9932 0.4995  6 O 2.00-2.13
Sb 0.0048 0.4922 0.9932  6 O 2.02-2.06
Sb 0.5032 0.4971 0.9908  6 O 2.00-2.11
Sb 0.5049 0.9922 0.9932  6 O 2.02-2.06
Sb 0.0072 0.4931 0.4995  6 O 2.00-2.13
Sb 0.0032 0.9971 0.9908  6 O 2.00-2.11
Sb 0.5025 0.5007 0.5003  6 O 2.00-2.14
Sb 0.0025 0.0007 0.5002  6 O 2.00-2.13
O 0.5913 0.5409 0.2409  2 Sb 2.03-2.14, 1 Li 2.05, 1 Ni 2.12
O 0.0939 0.2457 0.5476  2 Sb 2.01-2.05, 1 Li 2.04
O 0.7568 0.5443 0.9111  2 Sb 2.02-2.07, 1 Li 2.02
O 0.5856 0.0506 0.7449  2 Sb 2.00-2.05, 1 Li 2.02
O 0.5940 0.7457 0.5476  2 Sb 2.01-2.05, 1 Li 2.04
O 0.2569 0.9083 0.5413  2 Sb 2.02-2.11, 1 Li 2.07, 1 Ni 2.15
O 0.9582 0.7430 0.4112  2 Sb 2.04-2.13, 1 Li 2.05, 1 Ni 2.14
O 0.9500 0.9133 0.7447  2 Sb 2.00-2.04, 1 Li 2.02
O 0.4500 0.9073 0.2422  2 Sb 2.04-2.13, 1 Ni 2.07
O 0.7559 0.0538 0.4095  2 Sb 2.03-2.08, 1 Ni 2.06
O 0.9528 0.2432 0.9106  2 Sb 2.00-2.05, 1 Li 2.03
O 0.7570 0.4082 0.5412  2 Sb 2.02-2.11, 1 Li 2.07, 1 Ni 2.15
O 0.7566 0.9150 0.0486  2 Sb 2.02-2.06, 1 Li 2.02
O 0.4528 0.7431 0.9106  2 Sb 2.00-2.05, 1 Li 2.03
O 0.9498 0.4073 0.2422  2 Sb 2.04-2.13, 1 Ni 2.07
O 0.0852 0.7419 0.0510  2 Sb 2.04-2.11, 1 Ni 2.06
O 0.0912 0.0410 0.2409  2 Sb 2.03-2.13, 1 Li 2.05, 1 Ni 2.12
O 0.2568 0.0443 0.9111  2 Sb 2.02-2.07, 1 Li 2.02
O 0.4584 0.2430 0.4111  2 Sb 2.04-2.13, 1 Li 2.05, 1 Ni 2.14
O 0.4500 0.4132 0.7447  2 Sb 2.00-2.04, 1 Li 2.02
O 0.2559 0.5537 0.4095  2 Sb 2.03-2.08, 1 Ni 2.06
O 0.5852 0.2419 0.0512  2 Sb 2.04-2.11, 1 Ni 2.06
O 0.0856 0.5506 0.7449  2 Sb 2.00-2.05, 1 Li 2.02
O 0.2566 0.4150 0.0486  2 Sb 2.02-2.06, 1 Li 2.02
Li 0.7204 0.7797 0.2792  3 O 2.02-2.05
Li 0.7167 0.2834 0.7842  3 O 2.02-2.07
Li 0.2167 0.7834 0.7843  3 O 2.02-2.07
Li 0.2204 0.2797 0.2792  3 O 2.02-2.05
Li 0.7186 0.7806 0.7870  3 O 2.02-2.04
Li 0.2186 0.2806 0.7870  3 O 2.02-2.04
Ni 0.7035 0.2957 0.2920  6 O 2.06-2.15
Ni 0.2035 0.7956 0.2919  6 O 2.06-2.15

Properties
As for the energy: -5.768 eV per atom. Its theoretical density is 5.66 g cm⁻³. The calculated formation energy is -1938 meV/atom.

4.
Material: Li3Ni2SbO6
Method: DFT, PBE with a Hubbard U
State: optimized geometry

Lattice parameters (Å, degrees): 6.5792 6.5792 6.1728 103.00 103.00 26.90
With the nearest neighbours (Å) after each atom.
Atoms (fractional coordinates):
Li 0.0000 0.0000 0.0000  2 O 2.04
Li 0.3231 0.3231 0.6974  4 O 2.07-2.19
Li 0.6769 0.6769 0.3026  4 O 2.07-2.19
Ni 0.3282 0.3282 0.1470  6 O 2.05-2.20
Ni 0.6718 0.6718 0.8530  6 O 2.05-2.20
Sb 0.0000 0.0000 0.5000  6 O 1.95-2.06
O 0.1563 0.1563 0.5921  1 Sb 1.95, 1 Li 2.08
O 0.1637 0.1637 0.0721  3 Li 2.04-2.07, 3 Ni 2.05-2.06
O 0.4964 0.4964 0.7218  2 Sb 2.06, 3 Li 2.19-2.29, 1 Ni 2.20
O 0.5036 0.5036 0.2782  2 Sb 2.06, 3 Li 2.19-2.29, 1 Ni 2.20
O 0.8363 0.8363 0.9279  3 Li 2.04-2.07, 3 Ni 2.05-2.06
O 0.8437 0.8437 0.4079  1 Sb 1.95, 1 Li 2.08

Properties
As for the energy: -5.299 eV per atom. Its theoretical density is 5.03 g cm⁻³. The calculated formation energy is -1808 meV/atom.

Number 1: corrected total energy (MP2020 scheme) -174.0 eV per cell. Number 2: corrected total energy (MP2020 scheme) -99.7 eV per cell. Number 3: corrected total energy (MP2020 scheme) -252.3 eV per cell. Number 4: corrected total energy (MP2020 scheme) -72.8 eV per cell.